# 1
Entry from Materials Project: PaBi3 after structural relaxation (r2SCAN).

Computed properties:
The density comes out at 12.3 g/cm3. For the formation energy from the elements, the calculation gives -108.7 meV/atom. The value obtained for the uncorrected energy is -63.199 eV/atom.

Lattice parameters (Å, degrees): 4.595 4.595 11.006 90.00 90.00 90.00
Space group I4/mmm (No. 139)
Unique sites:
1 Pa 0.000 0.000 0.000
2 Bi 0.000 0.000 0.500
3 Bi 0.000 0.500 0.250


# 2
Entry from Materials Project: Cu3AsSe4 after structural relaxation (r2SCAN).

Computed properties:
The density comes out at 5.7 g/cm3. For the formation energy from the elements, the calculation gives -193.2 meV/atom. The value obtained for the uncorrected energy is -13.255 eV/atom.

Lattice parameters (Å, degrees): 5.559 5.559 11.050 90.00 90.00 90.00
Space group I-42m (No. 121)
Unique sites:
1 Cu 0.000 0.000 0.000
2 Cu 0.000 0.500 0.250
3 As 0.000 0.000 0.500
4 Se 0.246 0.246 0.871


# 3
Entry from Materials Project: HfO2 after structural relaxation (r2SCAN).

Computed properties:
The density comes out at 9.5 g/cm3. For the formation energy from the elements, the calculation gives -3867.7 meV/atom. The value obtained for the uncorrected energy is -22.900 eV/atom.

Lattice parameters (Å, degrees): 4.810 5.784 15.918 90.00 90.00 90.00
Space group Pbcn (No. 60)
Unique sites:
1 Hf 0.000 0.023 0.250
2 Hf 0.003 0.348 0.084
3 O 0.204 0.370 0.530
4 O 0.212 0.073 0.362
5 O 0.221 0.309 0.196


# 4
Entry from Materials Project: Ho2Mg after structural relaxation (r2SCAN).

Computed properties:
The density comes out at 6.9 g/cm3. For the formation energy from the elements, the calculation gives -65.0 meV/atom. The value obtained for the uncorrected energy is -23.376 eV/atom.

Lattice parameters (Å, degrees): 3.669 17.073 5.409 90.00 90.00 90.00
Space group Cmcm (No. 63)
Unique sites:
1 Ho 0.000 0.092 0.250
2 Ho 0.000 0.227 0.750
3 Mg 0.000 0.434 0.250


# 5
Entry from Materials Project: InP2H9N2O8 after structural relaxation (r2SCAN).

Computed properties:
The density comes out at 2.9 g/cm3. For the formation energy from the elements, the calculation gives -1419.4 meV/atom. The value obtained for the uncorrected energy is -7.679 eV/atom.

Lattice parameters (Å, degrees): 9.033 17.643 6.672 90.00 132.56 90.00
Space group Cc (No. 9)
Unique sites:
1 In 0.000 0.125 0.000
2 P 0.054 0.076 0.539
3 P 0.485 0.174 0.538
4 H 0.114 0.435 0.933
5 H 0.122 0.299 0.597
6 H 0.143 0.250 0.837
7 H 0.191 0.500 0.334
8 H 0.297 0.236 0.776
9 H 0.320 0.315 0.935
10 H 0.366 0.126 0.727
11 H 0.474 0.049 0.095
12 H 0.476 0.014 0.773
13 N 0.067 0.476 0.785
14 N 0.219 0.275 0.788
15 O 0.002 0.247 0.966
16 O 0.178 0.372 0.176
17 O 0.287 0.071 0.736
18 O 0.317 0.127 0.289
19 O 0.448 0.179 0.736
20 O 0.462 0.497 0.464
21 O 0.472 0.377 0.789
22 O 0.497 0.378 0.175


# 6
Entry from Materials Project: Hf5Sn4 after structural relaxation (r2SCAN).

Computed properties:
The density comes out at 11.7 g/cm3. For the formation energy from the elements, the calculation gives -437.3 meV/atom. The value obtained for the uncorrected energy is -36.520 eV/atom.

Lattice parameters (Å, degrees): 8.7254 8.7254 5.8692 90.00 90.00 120.00
Space group P6_3/mcm (No. 193)
Unique sites:
1 Hf 0.0000 0.2816 0.2500
2 Hf 0.3333 0.6667 0.0000
3 Sn 0.0000 0.0000 0.0000
4 Sn 0.0000 0.3874 0.7500